Entry from the Materials Project: a relaxed structure of PrAsO4 (r2SCAN).

Properties
ΔE_f = -2.57 eV/atom
DFT total energy = -83.414 eV/f.u.
Relative energy among the computed polymorphs = 7.2 meV per atom
Symmetry = I4_1/amd, No. 141

Cell lengths 6.126, 6.126, 6.126 Å; angles 106.40, 106.40, 115.80 degrees
Atoms (fractional coordinates):
O (0.667, 0.489, 0.822)
Pr (0.000, 0.000, 0.000)
O (0.239, 0.917, 0.322)
O (0.511, 0.333, 0.178)
O (0.083, 0.405, 0.322)
As (0.500, 0.500, 0.000)
As (0.250, 0.750, 0.500)
O (0.667, 0.845, 0.178)
O (0.155, 0.333, 0.822)
O (0.083, 0.761, 0.678)
Pr (0.750, 0.250, 0.500)
O (0.595, 0.917, 0.678)

Entry from the Materials Project: a relaxed structure of PrAsO4 (r2SCAN).

Properties
ΔE_f = -2.58 eV/atom
DFT total energy = -83.457 eV/f.u.
Relative energy among the computed polymorphs = 0.0 meV per atom
Symmetry = I4_1/a, No. 88

Cell lengths 6.899, 6.900, 6.900 Å; angles 136.14, 136.14, 63.76 degrees
Atoms (fractional coordinates):
Pr (0.000, 0.000, 0.000)
As (0.500, 0.500, 0.000)
O (0.038, 0.427, 0.120)
O (0.573, 0.693, 0.611)
As (0.250, 0.750, 0.500)
O (0.177, 0.557, 0.889)
O (0.082, 0.962, 0.389)
O (0.668, 0.288, 0.111)
O (0.443, 0.332, 0.620)
O (0.307, 0.918, 0.880)
Pr (0.750, 0.250, 0.500)
O (0.712, 0.823, 0.380)

Entry from the Materials Project: a relaxed structure of AsRhO4 (r2SCAN).

Properties
ΔE_f = -1.14 eV/atom
DFT total energy = -69.549 eV/f.u.
Symmetry = I4_1md, No. 109

Cell lengths 5.386, 5.386, 5.386 Å; angles 107.80, 107.80, 112.86 degrees
Atoms (fractional coordinates):
As (0.755, 0.255, 0.500)
Rh (0.993, 0.993, 0.000)
O (0.982, 0.294, 0.312)
O (0.544, 0.732, 0.812)
O (0.079, 0.269, 0.810)
O (0.919, 0.732, 0.188)
O (0.459, 0.269, 0.190)
O (0.519, 0.209, 0.690)
O (0.982, 0.669, 0.688)
Rh (0.243, 0.743, 0.500)
O (0.519, 0.829, 0.310)
As (0.505, 0.505, 0.000)

Entry from the Materials Project: a relaxed structure of As2S3O12 (r2SCAN).

Properties
ΔE_f = -1.26 eV/atom
DFT total energy = -146.670 eV/f.u.
Symmetry = P2_1/c, No. 14

Cell lengths 5.248, 9.423, 19.340 Å; angles 88.84, 90.00, 90.00 degrees
Atoms (fractional coordinates):
As (0.819, 0.378, 0.870)
O (0.816, 0.159, 0.037)
O (0.332, 0.277, 0.478)
O (0.767, 0.361, 0.463)
O (0.060, 0.608, 0.926)
S (0.092, 0.354, 0.685)
O (0.574, 0.242, 0.848)
O (0.093, 0.977, 0.717)
O (0.383, 0.658, 0.768)
O (0.155, 0.343, 0.210)
S (0.352, 0.916, 0.152)
O (0.059, 0.497, 0.643)
O (0.940, 0.392, 0.074)
O (0.845, 0.657, 0.790)
O (0.668, 0.723, 0.522)
As (0.681, 0.378, 0.370)
O (0.883, 0.342, 0.732)
O (0.401, 0.927, 0.624)
O (0.168, 0.277, 0.978)
O (0.184, 0.841, 0.963)
O (0.099, 0.927, 0.124)
O (0.684, 0.159, 0.537)
O (0.043, 0.020, 0.402)
O (0.599, 0.073, 0.376)
S (0.908, 0.646, 0.315)
S (0.148, 0.916, 0.652)
O (0.449, 0.245, 0.127)
O (0.074, 0.758, 0.652)
O (0.407, 0.977, 0.217)
S (0.592, 0.646, 0.815)
O (0.593, 0.023, 0.783)
S (0.852, 0.084, 0.348)
O (0.655, 0.657, 0.290)
O (0.051, 0.245, 0.627)
As (0.319, 0.622, 0.630)
O (0.267, 0.639, 0.037)
S (0.939, 0.303, 0.014)
S (0.061, 0.697, 0.986)
O (0.559, 0.503, 0.857)
As (0.260, 0.872, 0.871)
O (0.926, 0.242, 0.348)
As (0.740, 0.128, 0.129)
S (0.439, 0.697, 0.486)
O (0.345, 0.343, 0.710)
O (0.901, 0.073, 0.876)
O (0.441, 0.497, 0.143)
As (0.760, 0.128, 0.629)
O (0.543, 0.980, 0.098)
O (0.832, 0.723, 0.022)
O (0.426, 0.758, 0.152)
O (0.907, 0.023, 0.283)
O (0.440, 0.608, 0.426)
O (0.560, 0.392, 0.574)
O (0.957, 0.980, 0.598)
S (0.408, 0.354, 0.185)
O (0.316, 0.841, 0.463)
S (0.648, 0.084, 0.848)
O (0.233, 0.639, 0.537)
O (0.733, 0.361, 0.963)
As (0.240, 0.872, 0.371)
S (0.561, 0.303, 0.514)
O (0.617, 0.342, 0.232)
O (0.117, 0.658, 0.268)
As (0.181, 0.622, 0.130)
O (0.941, 0.503, 0.357)
O (0.551, 0.755, 0.873)
O (0.457, 0.020, 0.902)
O (0.949, 0.755, 0.373)

Entry from the Materials Project: a relaxed structure of Sr5As3O13 (r2SCAN).

Properties
ΔE_f = -2.47 eV/atom
DFT total energy = -249.301 eV/f.u.
Symmetry = P6_3, No. 173

Cell lengths 10.076, 10.076, 7.432 Å; angles 90.00, 90.00, 120.00 degrees
Atoms (fractional coordinates):
O (0.000, 0.000, 0.759)
O (0.127, 0.595, 0.750)
As (0.967, 0.600, 0.253)
O (0.595, 0.467, 0.250)
O (0.348, 0.253, 0.437)
O (0.657, 0.750, 0.570)
O (0.250, 0.908, 0.570)
Sr (0.333, 0.667, 0.501)
O (0.750, 0.092, 0.070)
O (0.405, 0.533, 0.750)
Sr (0.744, 0.754, 0.252)
O (0.000, 0.000, 0.259)
Sr (0.754, 0.010, 0.752)
O (0.840, 0.325, 0.753)
O (0.325, 0.485, 0.253)
O (0.343, 0.250, 0.070)
O (0.652, 0.747, 0.937)
Sr (0.010, 0.256, 0.252)
O (0.908, 0.657, 0.070)
O (0.515, 0.840, 0.253)
O (0.467, 0.873, 0.750)
O (0.095, 0.348, 0.937)
O (0.747, 0.095, 0.437)
O (0.485, 0.160, 0.753)
Sr (0.667, 0.333, 0.001)
Sr (0.333, 0.667, 0.002)
O (0.253, 0.905, 0.937)
O (0.873, 0.405, 0.250)
As (0.400, 0.367, 0.253)
Sr (0.667, 0.333, 0.502)
O (0.160, 0.675, 0.253)
As (0.367, 0.967, 0.753)
Sr (0.990, 0.744, 0.752)
O (0.675, 0.515, 0.753)
As (0.033, 0.400, 0.753)
As (0.600, 0.633, 0.753)
O (0.092, 0.343, 0.570)
Sr (0.256, 0.246, 0.752)
O (0.905, 0.652, 0.437)
O (0.533, 0.127, 0.250)
As (0.633, 0.033, 0.253)
Sr (0.246, 0.990, 0.252)

Entry from the Materials Project: a relaxed structure of Sr5As3O13 (r2SCAN).

Properties
ΔE_f = -2.47 eV/atom
DFT total energy = -249.301 eV/f.u.
Symmetry = P6_3, No. 173

Cell lengths 10.078, 10.078, 7.431 Å; angles 90.00, 90.00, 120.00 degrees
Atoms (fractional coordinates):
O (0.748, 0.095, 0.437)
O (0.653, 0.748, 0.937)
Sr (0.246, 0.989, 0.253)
As (0.967, 0.600, 0.253)
O (0.532, 0.128, 0.252)
O (0.251, 0.907, 0.569)
Sr (0.667, 0.333, 0.503)
As (0.367, 0.967, 0.753)
O (0.485, 0.160, 0.753)
O (0.595, 0.468, 0.252)
Sr (0.754, 0.011, 0.753)
As (0.633, 0.033, 0.253)
O (0.128, 0.595, 0.752)
O (0.000, 0.000, 0.754)
Sr (0.257, 0.246, 0.753)
Sr (0.333, 0.667, 0.003)
O (0.347, 0.252, 0.437)
O (0.749, 0.093, 0.069)
Sr (0.667, 0.333, 0.001)
O (0.907, 0.656, 0.069)
O (0.252, 0.905, 0.937)
O (0.344, 0.251, 0.069)
O (0.872, 0.405, 0.252)
O (0.905, 0.653, 0.437)
Sr (0.011, 0.257, 0.253)
O (0.160, 0.675, 0.253)
O (0.515, 0.840, 0.253)
O (0.325, 0.485, 0.253)
As (0.600, 0.633, 0.753)
O (0.656, 0.749, 0.569)
As (0.033, 0.400, 0.753)
O (0.095, 0.347, 0.937)
O (0.840, 0.325, 0.753)
Sr (0.333, 0.667, 0.501)
O (0.468, 0.872, 0.752)
As (0.400, 0.367, 0.253)
Sr (0.744, 0.754, 0.253)
Sr (0.989, 0.743, 0.753)
O (0.093, 0.344, 0.569)
O (0.405, 0.532, 0.752)
O (0.675, 0.515, 0.753)
O (0.000, 0.000, 0.254)

Entry from the Materials Project: a relaxed structure of TaAsO5 (r2SCAN).

Properties
ΔE_f = -2.22 eV/atom
DFT total energy = -108.668 eV/f.u.
Symmetry = Pnma, No. 62

Cell lengths 5.520, 11.681, 6.881 Å; angles 90.00, 90.00, 90.00 degrees
Atoms (fractional coordinates):
Ta (0.750, 0.441, 0.661)
O (0.500, 0.000, 0.000)
O (0.002, 0.123, 0.348)
Ta (0.250, 0.059, 0.161)
Ta (0.750, 0.941, 0.839)
O (0.250, 0.414, 0.188)
O (0.750, 0.296, 0.517)
O (0.750, 0.086, 0.688)
O (0.502, 0.877, 0.652)
O (0.998, 0.377, 0.848)
O (0.498, 0.623, 0.152)
O (0.998, 0.877, 0.652)
O (0.000, 0.000, 0.000)
O (0.250, 0.204, 0.017)
As (0.750, 0.654, 0.028)
Ta (0.250, 0.559, 0.339)
O (0.250, 0.914, 0.312)
O (0.750, 0.586, 0.812)
O (0.502, 0.377, 0.848)
O (0.750, 0.796, 0.983)
O (0.000, 0.500, 0.500)
O (0.250, 0.704, 0.483)
O (0.498, 0.123, 0.348)
O (0.002, 0.623, 0.152)
O (0.500, 0.500, 0.500)
As (0.750, 0.154, 0.472)
As (0.250, 0.346, 0.972)
As (0.250, 0.846, 0.528)

Entry from the Materials Project: a relaxed structure of Te3As2O11 (r2SCAN).

Properties
ΔE_f = -1.18 eV/atom
DFT total energy = -190.218 eV/f.u.
Symmetry = P-1, No. 2

Cell lengths 6.572, 7.728, 10.490 Å; angles 67.83, 89.24, 77.52 degrees
Atoms (fractional coordinates):
As (0.314, 0.292, 0.112)
O (0.325, 0.498, 0.405)
Te (0.208, 0.663, 0.797)
Te (0.768, 0.951, 0.157)
O (0.703, 0.718, 0.319)
O (0.742, 0.036, 0.310)
O (0.126, 0.276, 0.225)
O (0.473, 0.413, 0.152)
O (0.675, 0.502, 0.595)
Te (0.232, 0.049, 0.843)
O (0.005, 0.691, 0.512)
O (0.444, 0.074, 0.117)
O (0.527, 0.587, 0.848)
O (0.827, 0.221, 0.072)
O (0.086, 0.842, 0.229)
O (0.556, 0.926, 0.883)
O (0.297, 0.282, 0.681)
O (0.874, 0.724, 0.775)
O (0.173, 0.779, 0.928)
O (0.258, 0.964, 0.690)
As (0.810, 0.281, 0.606)
O (0.200, 0.409, 0.946)
Te (0.315, 0.227, 0.519)
As (0.686, 0.708, 0.888)
Te (0.685, 0.773, 0.481)
O (0.649, 0.171, 0.556)
O (0.800, 0.591, 0.054)
As (0.190, 0.719, 0.394)
Te (0.792, 0.337, 0.203)
O (0.914, 0.158, 0.771)
O (0.351, 0.829, 0.444)
O (0.995, 0.309, 0.488)